Compound: K2CuS2O10
Source: the Materials Project
Functional: PBE
Structure: relaxed

Properties
**Total magnetic moment**: 12.01 μB/cell
**Symmetry**: P2_1/c (14)
**Calculated volume**: 250.1 Å³/f.u.
**Electronic total energy**: -5.3561 eV/atom
**Formation energy**: -1.54 eV/atom

abc: 9.8955 8.0101 12.6352
angles: 87.35 90.00 90.00
Element x y z (fractional)
O: 0.8457 0.6416 0.9427
O: 0.8695 0.1915 0.3476
O: 0.2193 0.4836 0.8351
S: 0.4172 0.7644 0.1426
O: 0.4349 0.2390 0.3716
O: 0.8825 0.8283 0.4873
K: 0.7343 0.0318 0.6112
S: 0.4190 0.7590 0.6068
Cu: 0.1794 0.6450 0.7406
K: 0.0558 0.7783 0.1135
O: 0.3695 0.3085 0.6524
K: 0.2343 0.4682 0.3888
O: 0.1305 0.8085 0.6524
O: 0.4930 0.3635 0.8977
O: 0.1746 0.2022 0.2276
K: 0.9442 0.2217 0.8865
O: 0.2807 0.9836 0.8351
O: 0.3825 0.6717 0.5127
O: 0.9930 0.1365 0.1023
O: 0.6305 0.6915 0.3476
O: 0.4950 0.0976 0.8011
O: 0.0070 0.8635 0.8977
O: 0.7193 0.0164 0.1649
S: 0.0810 0.2590 0.6068
S: 0.0828 0.2644 0.1426
O: 0.6746 0.2978 0.7724
O: 0.6388 0.0690 0.3967
O: 0.7807 0.5164 0.1649
O: 0.1175 0.1717 0.5127
Cu: 0.6794 0.8550 0.2594
O: 0.6175 0.3283 0.4873
O: 0.1543 0.3584 0.0573
O: 0.3612 0.9310 0.6033
O: 0.8254 0.7978 0.7724
K: 0.5558 0.7217 0.8865
O: 0.9349 0.2610 0.6284
K: 0.2657 0.9682 0.3888
O: 0.9950 0.4024 0.1989
K: 0.4442 0.2783 0.1135
Cu: 0.8206 0.3550 0.2594
O: 0.6345 0.3343 0.2894
O: 0.3457 0.8584 0.0573
O: 0.0050 0.5976 0.8011
O: 0.3655 0.6657 0.7106
O: 0.8655 0.8343 0.2894
O: 0.1345 0.1657 0.7106
Cu: 0.3206 0.1450 0.7406
O: 0.6543 0.1416 0.9427
S: 0.5810 0.2410 0.3932
O: 0.1388 0.4310 0.6033
O: 0.5651 0.7610 0.6284
O: 0.8612 0.5690 0.3967
O: 0.5050 0.9024 0.1989
O: 0.5070 0.6365 0.1023
S: 0.5828 0.2356 0.8574
O: 0.0651 0.7390 0.3716
S: 0.9190 0.7410 0.3932
O: 0.3254 0.7022 0.2276
S: 0.9172 0.7356 0.8574
K: 0.7657 0.5318 0.6112

***

Compound: K2Cu3S3O13
Source: the Materials Project
Functional: PBE
Structure: relaxed

Properties
**Total magnetic moment**: 0.20 μB/cell
**Symmetry**: C2/c (15)
**Calculated volume**: 316.0 Å³/f.u.
**Electronic total energy**: -5.6695 eV/atom
**Formation energy**: -1.75 eV/atom

abc: 10.7884 10.7884 14.4827
angles: 71.38 71.38 53.41
Element x y z (fractional)
O: 0.8004 0.9681 0.8589
O: 0.4480 0.3097 0.7584
S: 0.8189 0.8845 0.7856
S: 0.7416 0.2431 0.4921
O: 0.6130 0.3870 0.2500
O: 0.2777 0.6264 0.5912
O: 0.1129 0.8145 0.4722
O: 0.4708 0.2091 0.3684
O: 0.1855 0.8871 0.0278
S: 0.3301 0.3763 0.3641
Cu: 0.9606 0.0125 0.8570
O: 0.8871 0.1855 0.5278
K: 0.4558 0.9340 0.3744
O: 0.1933 0.3744 0.4232
S: 0.7569 0.2584 0.0079
O: 0.3555 0.4666 0.4085
S: 0.3763 0.3301 0.8641
O: 0.8145 0.1129 0.9722
Cu: 0.8324 0.3237 0.2062
O: 0.8465 0.9628 0.6815
O: 0.2994 0.6016 0.0731
O: 0.5292 0.7909 0.6316
Cu: 0.4609 0.5005 0.1592
O: 0.2091 0.4708 0.8684
O: 0.3736 0.7223 0.9088
O: 0.1178 0.3199 0.7015
O: 0.2825 0.0411 0.7002
O: 0.9589 0.7175 0.7998
Cu: 0.5391 0.4995 0.8408
O: 0.6264 0.2777 0.0912
O: 0.9628 0.8465 0.1815
Cu: 0.0125 0.9606 0.3570
O: 0.8935 0.1065 0.2500
S: 0.6237 0.6699 0.1359
K: 0.5722 0.0803 0.0601
O: 0.8067 0.6256 0.5768
O: 0.7006 0.3984 0.9269
Cu: 0.4995 0.5391 0.3408
O: 0.3984 0.7006 0.4269
K: 0.9340 0.4558 0.8744
O: 0.0319 0.1996 0.6411
S: 0.8845 0.8189 0.2856
O: 0.7585 0.1146 0.4611
Cu: 0.1676 0.6763 0.7938
Cu: 0.3237 0.8324 0.7062
O: 0.3744 0.1933 0.9232
S: 0.6699 0.6237 0.6359
O: 0.2415 0.8854 0.5389
O: 0.3097 0.4480 0.2584
K: 0.0803 0.5722 0.5601
K: 0.0660 0.5442 0.1256
O: 0.0411 0.2825 0.2002
O: 0.6903 0.5520 0.7416
O: 0.5520 0.6903 0.2416
S: 0.2584 0.7569 0.5079
O: 0.1996 0.0319 0.1411
K: 0.5442 0.0660 0.6256
O: 0.7175 0.9589 0.2998
O: 0.6801 0.8822 0.7985
Cu: 0.5005 0.4609 0.6592
O: 0.5334 0.6445 0.0915
O: 0.6256 0.8067 0.0768
K: 0.9197 0.4278 0.4399
O: 0.9681 0.8004 0.3589
O: 0.3870 0.6130 0.7500
O: 0.0372 0.1535 0.8185
O: 0.6016 0.2994 0.5731
K: 0.4278 0.9197 0.9399
O: 0.8822 0.6801 0.2985
S: 0.1811 0.1155 0.2144
O: 0.1146 0.7585 0.9611
O: 0.1065 0.8935 0.7500
S: 0.1155 0.1811 0.7144
O: 0.7909 0.5292 0.1316
O: 0.4666 0.3555 0.9085
S: 0.2431 0.7416 0.9921
O: 0.3199 0.1178 0.2015
O: 0.6445 0.5334 0.5915
O: 0.1535 0.0372 0.3185
O: 0.8854 0.2415 0.0389
Cu: 0.6763 0.1676 0.2938
Cu: 0.9875 0.0394 0.6430
Cu: 0.0394 0.9875 0.1430
O: 0.7223 0.3736 0.4088

***

Compound: K2CuSi4O10
Source: the Materials Project
Functional: PBE
Structure: relaxed

Properties
**Symmetry**: P2_1/m (11)
**Calculated volume**: 250.2 Å³/f.u.
**Electronic total energy**: -6.9699 eV/atom
**Formation energy**: -2.82 eV/atom

abc: 8.3766 11.2024 11.4263
angles: 68.99 90.00 90.00
Element x y z (fractional)
K: 0.7500 0.9416 0.4428
O: 0.7500 0.5397 0.7353
O: 0.4792 0.1419 0.3591
Cu: 0.9974 0.7886 0.2875
O: 0.0208 0.1419 0.3591
O: 0.2500 0.3080 0.9615
Si: 0.9408 0.7286 0.0363
O: 0.5208 0.8581 0.6409
Si: 0.5657 0.4846 0.7506
O: 0.4671 0.2512 0.5316
O: 0.5329 0.7488 0.4684
O: 0.0410 0.0298 0.7481
O: 0.2500 0.0792 0.2294
O: 0.9686 0.4126 0.9033
O: 0.4704 0.6051 0.3281
O: 0.9982 0.2168 0.1112
O: 0.5146 0.8257 0.1053
Si: 0.0657 0.5154 0.2494
Si: 0.4431 0.0963 0.2390
Si: 0.9343 0.4846 0.7506
Cu: 0.0026 0.2114 0.7125
O: 0.0533 0.6107 0.7067
K: 0.7500 0.5336 0.4708
Si: 0.9431 0.9037 0.7610
Si: 0.4408 0.2714 0.9637
O: 0.4467 0.6107 0.7067
O: 0.5533 0.3893 0.2933
O: 0.9792 0.8581 0.6409
O: 0.5296 0.3949 0.6719
O: 0.7500 0.2105 0.4328
O: 0.5410 0.9702 0.2519
Si: 0.0592 0.2714 0.9637
Si: 0.9406 0.2491 0.4106
Si: 0.5569 0.9037 0.7610
Cu: 0.4974 0.2114 0.7125
K: 0.7500 0.0229 0.0446
Si: 0.0594 0.7509 0.5894
O: 0.0314 0.5874 0.0967
O: 0.0296 0.6051 0.3281
O: 0.4854 0.1743 0.8947
K: 0.2500 0.5826 0.9138
Si: 0.5592 0.7286 0.0363
Si: 0.4343 0.5154 0.2494
Si: 0.4406 0.7509 0.5894
K: 0.7500 0.4174 0.0862
O: 0.7500 0.9208 0.7706
O: 0.4982 0.7832 0.8888
O: 0.9671 0.7488 0.4684
O: 0.9467 0.3893 0.2933
K: 0.2500 0.9771 0.9554
O: 0.9704 0.3949 0.6719
Cu: 0.5026 0.7886 0.2875
O: 0.9590 0.9702 0.2519
O: 0.0018 0.7832 0.8888
Si: 0.5594 0.2491 0.4106
Si: 0.0569 0.0963 0.2390
O: 0.9854 0.8257 0.1053
O: 0.5018 0.2168 0.1112
O: 0.5314 0.4126 0.9033
K: 0.2500 0.0584 0.5572
K: 0.2500 0.4664 0.5292
O: 0.2500 0.4603 0.2647
O: 0.4590 0.0298 0.7481
O: 0.0329 0.2512 0.5316
O: 0.0146 0.1743 0.8947
O: 0.4686 0.5874 0.0967
O: 0.7500 0.6920 0.0385
O: 0.2500 0.7895 0.5672